Entry 1:
This record from the Materials Project database describes an optimized crystal structure of YMg15. The functional is r²SCAN.

Structure (POSCAR):
```
YMg15
1.0
6.480 0.000 0.000
-3.240 5.612 0.000
0.000 0.000 10.278
Y Mg
1 15
Cartesian
0.000 0.000 0.000
0.000 0.000 5.139
-1.570 2.834 0.000
0.000 1.878 2.619
0.000 1.878 7.660
-1.614 4.673 2.619
-1.614 4.673 7.660
1.570 2.834 0.000
0.000 5.554 0.000
3.240 0.008 5.139
1.627 2.802 5.139
1.614 4.673 2.619
1.614 4.673 7.660
3.240 1.871 2.502
3.240 1.871 7.776
4.853 2.802 5.139
```

Its formation energy is 0.01 eV per atom. The value obtained for the total energy is -5.173 eV per atom.


Entry 2:
This record from the Materials Project database describes an optimized crystal structure of SrI2O6. The functional is r²SCAN.

Structure (POSCAR):
```
SrI2O6
1.0
5.989 -3.982 0.000
5.989 3.982 0.000
-4.758 0.000 6.333
Sr I O
2 4 12
Cartesian
2.420 2.813 4.750
4.799 -2.813 1.583
2.391 0.240 1.860
0.012 -0.240 5.027
7.207 0.240 1.307
4.828 -0.240 4.473
-1.396 0.391 4.078
0.983 -0.391 0.912
1.376 0.869 3.242
0.564 1.285 5.841
4.277 1.285 3.659
3.755 -0.869 0.075
3.464 0.869 6.258
2.943 -1.285 2.674
6.656 -1.285 0.493
5.843 -0.869 3.092
6.236 0.391 5.421
8.615 -0.391 2.255
```

Its formation energy is -1.17 eV per atom. The relative energy among the computed polymorphs comes out at 0 meV/atom. The value obtained for the total energy is -12.293 eV per atom.


Entry 3:
This record from the Materials Project database describes an optimized crystal structure of MgBr2O6. The functional is r²SCAN.

Structure (POSCAR):
```
MgBr2O6
1.0
4.070 -2.743 0.000
4.070 2.743 0.000
-2.358 0.000 5.996
Mg Br O
1 2 6
Cartesian
0.000 0.000 0.000
0.512 0.000 4.306
5.269 0.000 1.690
1.526 1.321 4.439
-0.343 0.000 5.721
4.255 1.321 1.557
1.526 -1.321 4.439
6.125 0.000 0.275
4.255 -1.321 1.557
```

Its formation energy is -0.53 eV per atom. The value obtained for the total energy is -7.919 eV per atom.


Entry 4:
This record from the Materials Project database describes an optimized crystal structure of SiO2. The functional is r²SCAN.

Structure (POSCAR):
```
SiO2
1.0
9.050 -10.259 0.000
9.050 10.259 0.000
0.000 0.000 7.524
Si O
24 48
Cartesian
7.478 7.778 5.643
5.489 3.885 0.337
5.489 3.885 3.425
3.525 1.497 4.087
3.525 1.497 7.198
7.478 4.605 5.643
10.623 7.778 5.643
3.525 -1.497 0.326
3.525 -1.497 3.436
10.622 4.605 5.643
5.489 -3.885 4.099
5.489 -3.885 7.187
12.611 3.885 0.337
12.611 3.885 3.425
7.478 -4.605 1.881
14.576 1.497 4.087
14.576 1.497 7.198
7.478 -7.778 1.881
10.622 -4.605 1.881
14.576 -1.497 0.326
14.576 -1.497 3.436
12.611 -3.885 4.099
12.611 -3.885 7.187
10.623 -7.778 1.881
4.525 5.129 0.000
4.525 5.129 3.762
2.217 1.835 0.554
2.217 1.835 3.208
3.130 1.634 5.643
7.197 6.193 5.643
9.050 8.078 5.643
5.928 3.941 1.881
4.724 2.504 0.037
4.724 2.504 3.725
6.821 3.959 4.323
6.821 3.959 6.963
2.217 -1.835 4.315
2.217 -1.835 6.970
4.027 0.000 0.000
4.027 0.000 3.762
3.130 -1.634 1.881
9.050 4.300 5.643
10.903 6.193 5.643
4.724 -2.504 3.799
4.724 -2.504 7.487
11.280 3.959 4.323
11.280 3.959 6.963
12.172 3.941 1.881
4.525 -5.129 0.000
4.525 -5.129 3.762
5.928 -3.941 5.643
6.821 -3.959 0.561
6.821 -3.959 3.201
13.377 2.504 0.037
13.377 2.504 3.725
7.197 -6.193 1.881
9.050 -4.300 1.881
14.970 1.634 5.643
14.074 0.000 0.000
14.074 0.000 3.762
15.884 1.835 0.554
15.884 1.835 3.208
11.280 -3.959 0.561
11.280 -3.959 3.201
13.377 -2.504 3.799
13.377 -2.504 7.487
12.172 -3.941 5.643
9.050 -8.078 1.881
10.903 -6.193 1.881
14.970 -1.634 1.881
15.884 -1.835 4.315
15.884 -1.835 6.970
```

Its formation energy is -3.02 eV per atom. The value obtained for the total energy is -9.927 eV per atom.


Entry 5:
This record from the Materials Project database describes an optimized crystal structure of Kr. The functional is r²SCAN.

Structure (POSCAR):
```
Kr
1.0
4.149 0.000 0.000
-2.075 3.593 0.000
0.000 0.000 6.746
Kr
2
Cartesian
0.000 2.395 1.686
2.075 1.198 5.059
```

Its formation energy is 0.01 eV per atom. The relative energy among the computed polymorphs comes out at 7 meV/atom. The value obtained for the total energy is -12.577 eV per atom.


Entry 6:
This record from the Materials Project database describes an optimized crystal structure of LiGaPd2. The functional is r²SCAN.

Structure (POSCAR):
```
LiGaPd2
1.0
6.005 0.000 0.000
0.000 6.005 0.000
0.000 0.000 6.005
Li Ga Pd
4 4 8
Cartesian
0.000 0.000 0.000
0.000 3.002 3.002
3.002 0.000 3.002
3.002 3.002 0.000
0.000 0.000 3.002
0.000 3.002 0.000
3.002 0.000 0.000
3.002 3.002 3.002
1.501 1.501 1.501
1.501 1.501 4.504
1.501 4.504 1.501
1.501 4.504 4.504
4.504 1.501 1.501
4.504 1.501 4.504
4.504 4.504 1.501
4.504 4.504 4.504
```

Its formation energy is -0.70 eV per atom. The value obtained for the total energy is -15.642 eV per atom.


Entry 7:
This record from the Materials Project database describes an optimized crystal structure of Sr2CoN2. The functional is r²SCAN.

Structure (POSCAR):
```
Sr2CoN2
1.0
3.833 0.000 0.000
0.000 3.833 0.000
0.000 0.000 12.665
Sr Co N
4 2 4
Cartesian
0.000 0.000 1.919
0.000 0.000 10.746
1.916 1.916 4.414
1.916 1.916 8.251
0.000 0.000 6.332
1.916 1.916 0.000
0.000 0.000 4.557
0.000 0.000 8.107
1.916 1.916 1.775
1.916 1.916 10.890
```

Its formation energy is -0.68 eV per atom. The value obtained for the total energy is -13.041 eV per atom.


Entry 8:
This record from the Materials Project database describes an optimized crystal structure of La2Ni2I. The functional is r²SCAN.

Structure (POSCAR):
```
La2Ni2I
1.0
4.121 0.000 0.000
-2.060 3.569 0.000
0.000 0.000 17.723
La Ni I
4 4 2
Cartesian
0.000 0.000 1.837
0.000 0.000 7.021
0.000 0.000 10.702
0.000 0.000 15.887
0.000 2.379 0.012
0.000 2.379 8.847
2.060 1.190 8.877
2.060 1.190 17.712
0.000 2.379 13.296
2.060 1.190 4.427
```

Its formation energy is -0.78 eV per atom. The value obtained for the total energy is -22.385 eV per atom.


Entry 9:
This record from the Materials Project database describes an optimized crystal structure of Eu3B2O6. The functional is r²SCAN.

Structure (POSCAR):
```
Eu3B2O6
1.0
4.514 2.606 4.132
-4.514 2.606 4.132
0.000 -5.212 4.132
Eu B O
6 4 12
Cartesian
-2.923 0.149 5.165
-1.591 -2.457 7.231
1.333 -2.606 5.165
-1.333 2.606 7.231
1.591 2.457 5.165
2.923 -0.149 7.231
0.000 0.000 1.423
0.000 0.000 4.775
0.000 0.000 7.622
0.000 0.000 10.973
-3.875 -1.374 6.863
-0.748 -4.043 5.534
-0.748 -1.170 4.797
-3.127 2.669 5.534
-0.639 1.232 4.797
-1.387 0.063 7.600
1.387 -0.063 4.797
0.639 -1.232 7.600
3.127 -2.669 6.863
0.748 1.170 7.600
0.748 4.043 6.863
3.875 1.374 5.534
```

Its formation energy is -3.06 eV per atom. The value obtained for the total energy is -18.164 eV per atom.


Entry 10:
This record from the Materials Project database describes an optimized crystal structure of Nd4Te3N2. The functional is r²SCAN.

Structure (POSCAR):
```
Nd4Te3N2
1.0
7.414 0.000 0.000
0.000 11.796 0.000
0.000 0.000 11.413
Nd Te N
16 12 8
Cartesian
0.681 2.949 1.798
1.083 0.572 10.164
1.083 5.326 10.164
1.716 2.949 6.072
1.991 8.847 0.365
2.624 6.470 4.457
2.624 11.223 4.457
3.026 8.847 7.504
4.388 2.949 3.909
4.790 0.572 6.956
4.790 5.326 6.956
5.423 2.949 11.048
5.698 8.847 5.341
6.331 6.470 1.249
6.331 11.223 1.249
6.732 8.847 9.615
0.475 6.842 7.267
0.475 10.852 7.267
0.626 8.847 3.153
3.081 2.949 8.860
3.232 0.944 1.561
3.232 4.954 1.561
4.182 6.842 9.852
4.182 10.852 9.852
4.333 8.847 2.553
6.788 2.949 8.260
6.939 0.944 4.146
6.939 4.954 4.146
0.388 7.338 11.052
0.388 10.356 11.052
3.319 1.440 5.345
3.319 4.458 5.345
4.095 7.338 6.068
4.095 10.356 6.068
7.026 1.440 0.361
7.026 4.458 0.361
```

Its formation energy is -1.78 eV per atom. The value obtained for the total energy is -25.360 eV per atom.


Entry 11:
This record from the Materials Project database describes an optimized crystal structure of ErGaPd. The functional is r²SCAN.

Structure (POSCAR):
```
ErGaPd
1.0
6.870 0.000 0.000
0.000 4.421 0.000
0.000 0.000 7.531
Er Ga Pd
4 4 4
Cartesian
0.103 1.105 1.509
3.332 3.316 5.275
3.539 1.105 2.256
6.767 3.316 6.022
1.230 1.105 4.352
2.205 3.316 0.587
4.665 1.105 6.945
5.640 3.316 3.179
1.500 3.316 3.060
1.935 1.105 6.826
4.935 3.316 0.705
5.370 1.105 4.471
```

Its formation energy is -0.96 eV per atom. The value obtained for the total energy is -23.734 eV per atom.


Entry 12:
This record from the Materials Project database describes an optimized crystal structure of Ca2ZnGa. The functional is r²SCAN.

Structure (POSCAR):
```
Ca2ZnGa
1.0
7.301 0.000 0.000
0.000 7.301 0.000
0.000 0.000 7.301
Ca Zn Ga
8 4 4
Cartesian
1.825 1.825 1.825
1.825 1.825 5.476
1.825 5.476 1.825
1.825 5.476 5.476
5.476 1.825 1.825
5.476 1.825 5.476
5.476 5.476 1.825
5.476 5.476 5.476
0.000 0.000 0.000
0.000 3.651 3.651
3.651 0.000 3.651
3.651 3.651 0.000
0.000 0.000 3.651
0.000 3.651 0.000
3.651 0.000 0.000
3.651 3.651 3.651
```

Its formation energy is -0.37 eV per atom. The value obtained for the total energy is -8.978 eV per atom.


Entry 13:
This record from the Materials Project database describes an optimized crystal structure of In. The functional is r²SCAN.

Structure (POSCAR):
```
In
1.0
-5.793 5.793 5.793
5.793 -5.793 5.793
5.793 5.793 -5.793
In
29
Cartesian
0.000 0.000 0.000
3.851 3.851 -3.851
3.343 1.103 -1.103
3.343 -1.103 1.103
6.406 1.615 -1.615
3.851 -3.851 3.851
6.406 -1.615 1.615
8.243 1.103 1.103
1.103 3.343 -1.103
1.103 -1.103 3.343
5.180 1.615 1.615
4.178 4.178 -0.613
4.178 -0.613 4.178
1.942 1.942 1.942
-1.103 3.343 1.103
-1.103 1.103 3.343
1.615 6.406 -1.615
1.615 -1.615 6.406
1.615 5.180 1.615
1.615 1.615 5.180
4.690 4.690 2.450
4.690 2.450 4.690
-3.851 3.851 3.851
-1.615 6.406 1.615
-1.615 1.615 6.406
-0.613 4.178 4.178
1.103 8.243 1.103
1.103 1.103 8.243
2.450 4.690 4.690
```

Its formation energy is 0.01 eV per atom. The relative energy among the computed polymorphs comes out at 10 meV/atom. The value obtained for the total energy is -22.568 eV per atom.


Entry 14:
This record from the Materials Project database describes an optimized crystal structure of LaCuSi. The functional is r²SCAN.

Structure (POSCAR):
```
LaCuSi
1.0
4.171 0.000 0.000
-2.086 3.613 0.000
0.000 0.000 4.256
La Cu Si
1 1 1
Cartesian
0.000 0.000 0.000
0.000 2.408 2.128
2.086 1.204 2.128
```

Its formation energy is -0.66 eV per atom. The value obtained for the total energy is -17.115 eV per atom.


Entry 15:
This record from the Materials Project database describes an optimized crystal structure of Ta2CrRu. The functional is r²SCAN.

Structure (POSCAR):
```
Ta2CrRu
1.0
6.245 0.000 0.000
0.000 6.245 0.000
0.000 0.000 6.245
Ta Cr Ru
8 4 4
Cartesian
1.561 1.561 1.561
1.561 1.561 4.684
1.561 4.684 1.561
1.561 4.684 4.684
4.684 1.561 1.561
4.684 1.561 4.684
4.684 4.684 1.561
4.684 4.684 4.684
0.000 0.000 0.000
0.000 3.122 3.122
3.122 0.000 3.122
3.122 3.122 0.000
0.000 0.000 3.122
0.000 3.122 0.000
3.122 0.000 0.000
3.122 3.122 3.122
```

Its formation energy is -0.25 eV per atom. The value obtained for the total energy is -34.675 eV per atom.


Entry 16:
This record from the Materials Project database describes an optimized crystal structure of KNdW2O8. The functional is r²SCAN.

Structure (POSCAR):
```
KNdW2O8
1.0
5.116 -5.402 0.000
5.116 5.402 0.000
-4.424 0.000 6.074
K Nd W O
2 2 4 16
Cartesian
1.817 0.000 0.159
3.991 0.000 5.915
2.904 3.284 3.037
2.904 -3.284 3.037
0.595 0.000 3.375
5.116 1.776 0.000
5.116 -1.776 0.000
5.213 0.000 2.700
-0.975 0.000 2.395
-0.503 1.360 4.635
4.005 2.856 0.882
1.462 1.378 2.635
1.803 2.856 5.193
-0.503 -1.360 4.635
1.462 -1.378 2.635
4.257 0.000 0.959
1.551 0.000 5.115
4.345 1.378 3.440
6.311 1.360 1.439
4.005 -2.856 0.882
4.345 -1.378 3.440
1.803 -2.856 5.193
6.311 -1.360 1.439
6.783 0.000 3.680
```

Its formation energy is -2.74 eV per atom. The value obtained for the total energy is -18.236 eV per atom.


Entry 17:
This record from the Materials Project database describes an optimized crystal structure of TbGe3. The functional is r²SCAN.

Structure (POSCAR):
```
TbGe3
1.0
4.023 0.000 0.000
0.000 3.894 0.000
-2.009 0.000 10.537
Tb Ge
2 6
Cartesian
0.000 0.974 1.767
2.013 2.921 8.770
0.003 2.921 4.053
0.007 2.921 6.524
0.004 0.974 9.741
2.010 2.921 0.795
2.007 0.974 4.013
2.011 0.974 6.483
```

Its formation energy is -0.48 eV per atom. The value obtained for the total energy is -18.694 eV per atom.


Entry 18:
This record from the Materials Project database describes an optimized crystal structure of TmTlRh2. The functional is r²SCAN.

Structure (POSCAR):
```
TmTlRh2
1.0
6.591 0.000 0.000
0.000 6.591 0.000
0.000 0.000 6.591
Tm Tl Rh
4 4 8
Cartesian
0.000 0.000 0.000
0.000 3.295 3.295
3.295 0.000 3.295
3.295 3.295 0.000
0.000 0.000 3.295
0.000 3.295 0.000
3.295 0.000 0.000
3.295 3.295 3.295
1.648 1.648 1.648
1.648 1.648 4.943
1.648 4.943 1.648
1.648 4.943 4.943
4.943 1.648 1.648
4.943 1.648 4.943
4.943 4.943 1.648
4.943 4.943 4.943
```

Its formation energy is -0.65 eV per atom. The value obtained for the total energy is -34.792 eV per atom.